Record 1
Entry from Materials Project: an optimized crystal structure of Na2MgZr3P4S2O24 (PBE).

Results
The raw total energy comes out at -7.3889 eV/atom. The symmetry is P1, No. 1. The formation energy is -2.887 eV/atom.

The structure in POSCAR format:
```
Na2MgZr3P4S2O24
1.0
8.8551 0.0000 0.0000
4.4223 7.6723 0.0000
0.0123 0.0084 23.3608
Na Mg Zr P S O
6 3 9 12 6 72
Direct
0.0000 0.0000 0.0000 Na
0.0051 0.0012 0.4958 Na
0.3282 0.3343 0.3407 Na
0.3369 0.3419 0.8330 Na
0.6657 0.6731 0.6656 Na
0.6723 0.6723 0.1730 Na
0.3308 0.3435 0.6844 Mg
0.9974 0.0118 0.3576 Mg
0.9981 0.0004 0.8572 Mg
0.3259 0.3406 0.4868 Zr
0.3296 0.3371 0.1919 Zr
0.3368 0.3423 0.9847 Zr
0.6569 0.6814 0.8185 Zr
0.6593 0.6838 0.0244 Zr
0.6622 0.6845 0.5243 Zr
0.6733 0.6810 0.3195 Zr
0.9903 0.0146 0.1522 Zr
0.9980 0.0073 0.6477 Zr
0.0397 0.3463 0.5908 P
0.0419 0.6324 0.0877 P
0.3282 0.0526 0.0875 P
0.3357 0.6264 0.5899 P
0.3664 0.6820 0.9207 P
0.3661 0.9681 0.4204 P
0.6159 0.0560 0.5905 P
0.6215 0.3441 0.0883 P
0.6701 0.9686 0.9204 P
0.7102 0.0112 0.2572 P
0.9604 0.6811 0.4215 P
0.9957 0.2967 0.2574 P
0.0040 0.7136 0.7560 S
0.2830 0.0167 0.7560 S
0.2875 0.7195 0.2560 S
0.6671 0.3817 0.4208 S
0.7062 0.2958 0.7564 S
0.9555 0.3803 0.9203 S
0.0211 0.1798 0.5965 O
0.0210 0.8000 0.8068 O
0.0235 0.8136 0.0941 O
0.0246 0.1869 0.3094 O
0.1200 0.3727 0.6437 O
0.1285 0.5214 0.1410 O
0.1293 0.3673 0.9257 O
0.1409 0.5128 0.4271 O
0.1511 0.3153 0.5359 O
0.1530 0.5442 0.0338 O
0.1556 0.3244 0.2480 O
0.1560 0.5394 0.7494 O
0.1683 0.0306 0.0942 O
0.1704 0.8132 0.5959 O
0.1816 0.0314 0.8071 O
0.1837 0.7986 0.3065 O
0.1877 0.9874 0.4153 O
0.1906 0.8438 0.9143 O
0.2043 0.9873 0.7040 O
0.2080 0.8227 0.2028 O
0.3054 0.1630 0.0338 O
0.3062 0.5451 0.5354 O
0.3083 0.1670 0.7496 O
0.3083 0.5421 0.2483 O
0.3527 0.5141 0.9262 O
0.3551 0.1376 0.1409 O
0.3583 0.1469 0.4266 O
0.3610 0.5223 0.6435 O
0.4612 0.8559 0.4739 O
0.4633 0.6965 0.9739 O
0.4629 0.8520 0.7606 O
0.4655 0.6976 0.2601 O
0.4843 0.8758 0.3675 O
0.4861 0.6512 0.8674 O
0.4933 0.8705 0.0817 O
0.4945 0.6527 0.5806 O
0.4990 0.1467 0.9263 O
0.5069 0.3676 0.4263 O
0.5107 0.1342 0.6438 O
0.5108 0.3683 0.1414 O
0.5251 0.1727 0.2479 O
0.5310 0.3198 0.7500 O
0.5358 0.1639 0.5355 O
0.5360 0.3177 0.0342 O
0.6417 0.4908 0.3692 O
0.6435 0.5048 0.0806 O
0.6432 0.8695 0.5821 O
0.6441 0.8754 0.8675 O
0.6857 0.4685 0.4725 O
0.6857 0.8479 0.2598 O
0.6900 0.8553 0.9738 O
0.6915 0.4747 0.7614 O
0.7933 0.1929 0.8073 O
0.7949 0.0328 0.3094 O
0.8028 0.0330 0.5959 O
0.8030 0.1798 0.0934 O
0.8138 0.2159 0.7041 O
0.8184 0.9840 0.2014 O
0.8217 0.2097 0.4156 O
0.8281 0.9893 0.9141 O
0.8302 0.4811 0.2607 O
0.8411 0.6977 0.7615 O
0.8473 0.6955 0.4742 O
0.8505 0.4654 0.9721 O
0.8552 0.5037 0.5807 O
0.8602 0.6504 0.0805 O
0.8711 0.4923 0.8691 O
0.8734 0.6498 0.3677 O
0.9735 0.2085 0.9134 O
0.9744 0.8430 0.4153 O
0.9755 0.2108 0.2015 O
0.9745 0.8228 0.7040 O
```


Record 2
Entry from Materials Project: an optimized crystal structure of Na7MgSc3P6O24 (PBE).

Results
The raw total energy comes out at -6.9950 eV/atom. The symmetry is P1, No. 1. The formation energy is -2.980 eV/atom.

The structure in POSCAR format:
```
Na7MgSc3P6O24
1.0
9.0414 0.0000 0.0000
-4.5023 7.8434 0.0000
-0.0030 -0.0028 22.5060
Na Mg Sc P O
21 3 9 18 72
Direct
0.0000 0.0000 0.0000 Na
0.0001 0.3700 0.4964 Na
0.2658 0.9955 0.4967 Na
0.3013 0.3408 0.9156 Na
0.3009 0.6966 0.6658 Na
0.3021 0.3338 0.4114 Na
0.3028 0.9709 0.1659 Na
0.3311 0.6611 0.3288 Na
0.3332 0.0364 0.8301 Na
0.5998 0.6623 0.8304 Na
0.6005 0.3044 0.3293 Na
0.6336 0.3645 0.0003 Na
0.6357 0.9926 0.2463 Na
0.6401 0.6359 0.4964 Na
0.6427 0.9998 0.7467 Na
0.6649 0.3324 0.6657 Na
0.9399 0.3350 0.1660 Na
0.9681 0.6740 0.5814 Na
0.9687 0.6670 0.0835 Na
0.9735 0.3028 0.8299 Na
0.9741 0.0346 0.3293 Na
0.3003 0.3323 0.7636 Mg
0.3034 0.3356 0.2634 Mg
0.9686 0.6672 0.4295 Mg
0.3003 0.3315 0.5671 Sc
0.3035 0.3419 0.0663 Sc
0.6336 0.9920 0.1005 Sc
0.6339 0.9983 0.8997 Sc
0.6353 0.0003 0.3973 Sc
0.6418 0.9999 0.6000 Sc
0.9617 0.6676 0.2308 Sc
0.9682 0.6736 0.7299 Sc
0.9750 0.6665 0.9331 Sc
0.0076 0.3326 0.6670 P
0.0098 0.0418 0.1659 P
0.2611 0.9616 0.3328 P
0.2629 0.6653 0.8305 P
0.3019 0.0397 0.6662 P
0.3024 0.6274 0.1678 P
0.3389 0.7056 0.4988 P
0.3399 0.9999 0.9990 P
0.5944 0.6266 0.6664 P
0.5953 0.3339 0.1658 P
0.6343 0.7042 0.9975 P
0.6369 0.2968 0.4987 P
0.6732 0.3731 0.8315 P
0.6737 0.6647 0.3339 P
0.9298 0.2943 0.9988 P
0.9303 0.9985 0.4977 P
0.9702 0.9628 0.8325 P
0.9707 0.3744 0.3330 P
0.0894 0.1523 0.2213 O
0.0898 0.3081 0.7222 O
0.1054 0.3050 0.0039 O
0.1092 0.1624 0.5042 O
0.1191 0.3634 0.6103 O
0.1207 0.1228 0.1093 O
0.1302 0.1412 0.8263 O
0.1297 0.3522 0.3266 O
0.1384 0.6459 0.1709 O
0.1453 0.8565 0.6704 O
0.1459 0.6367 0.8844 O
0.1518 0.8804 0.3883 O
0.1582 0.8436 0.9929 O
0.1606 0.6875 0.4932 O
0.1805 0.8477 0.2770 O
0.1827 0.6989 0.7750 O
0.2707 0.5118 0.1128 O
0.2768 0.1222 0.6093 O
0.2823 0.5054 0.8260 O
0.2827 0.1425 0.3263 O
0.3232 0.5258 0.5043 O
0.3236 0.1636 0.0033 O
0.3283 0.5484 0.2236 O
0.3335 0.1516 0.7211 O
0.4244 0.8188 0.5541 O
0.4254 0.9753 0.0541 O
0.4424 0.8291 0.8372 O
0.4428 0.9787 0.3377 O
0.4523 0.0294 0.9428 O
0.4545 0.7883 0.4435 O
0.4577 0.8107 0.1598 O
0.4649 0.0213 0.6595 O
0.4729 0.3128 0.5041 O
0.4785 0.5229 0.0033 O
0.4833 0.5461 0.7215 O
0.4841 0.3021 0.2209 O
0.4940 0.3543 0.8261 O
0.4938 0.5057 0.3265 O
0.5131 0.3586 0.1089 O
0.5132 0.5152 0.6097 O
0.6045 0.1814 0.4434 O
0.6073 0.8036 0.6591 O
0.6091 0.7862 0.9405 O
0.6144 0.1708 0.1592 O
0.6561 0.8290 0.3380 O
0.6567 0.1926 0.8373 O
0.6644 0.2110 0.5540 O
0.6670 0.8237 0.0506 O
0.7530 0.6358 0.3898 O
0.7578 0.4856 0.8871 O
0.7715 0.6379 0.6708 O
0.7794 0.4901 0.1703 O
0.7880 0.4552 0.7764 O
0.7922 0.6992 0.2797 O
0.7968 0.4747 0.4932 O
0.7982 0.6883 0.9922 O
0.8063 0.1930 0.3378 O
0.8066 0.9800 0.8374 O
0.8126 0.9700 0.5513 O
0.8154 0.2106 0.0538 O
0.8242 0.1776 0.6598 O
0.8320 0.0283 0.1587 O
0.8466 0.1821 0.9425 O
0.8498 0.0325 0.4420 O
0.9372 0.4551 0.2771 O
0.9366 0.8434 0.7790 O
0.9397 0.4697 0.9922 O
0.9491 0.8388 0.4929 O
0.9902 0.4970 0.6705 O
0.9976 0.8642 0.1707 O
0.9985 0.4838 0.3884 O
0.9988 0.8802 0.8885 O
```


Record 3
Entry from Materials Project: an optimized crystal structure of Na4MgScP3O12 (PBE).

Results
The raw total energy comes out at -6.7436 eV/atom. The formation energy is -2.906 eV/atom.

The structure in POSCAR format:
```
Na4MgScP3O12
1.0
9.0711 0.0000 0.0000
-4.5356 7.8558 0.0000
0.0000 0.0000 22.1748
Na Mg Sc P O
24 6 6 18 72
Direct
0.6371 0.0053 0.2484 Na
0.3682 0.3629 0.2484 Na
0.9947 0.6318 0.2484 Na
0.6371 0.6318 0.7484 Na
0.9947 0.3629 0.7484 Na
0.3682 0.0053 0.7484 Na
0.3038 0.3386 0.5818 Na
0.0348 0.6962 0.5818 Na
0.6614 0.9652 0.5818 Na
0.3038 0.9652 0.0818 Na
0.6614 0.6962 0.0818 Na
0.0348 0.3386 0.0818 Na
0.9704 0.6720 0.9151 Na
0.7015 0.0296 0.9151 Na
0.3280 0.2985 0.9151 Na
0.9704 0.2985 0.4151 Na
0.3280 0.0296 0.4151 Na
0.7015 0.6720 0.4151 Na
0.0000 0.0000 0.4974 Na
0.0000 0.0000 0.9974 Na
0.6667 0.3333 0.8308 Na
0.6667 0.3333 0.3308 Na
0.3333 0.6667 0.1641 Na
0.3333 0.6667 0.6641 Na
0.0000 0.0000 0.3496 Mg
0.0000 0.0000 0.8496 Mg
0.6667 0.3333 0.6830 Mg
0.6667 0.3333 0.1830 Mg
0.3333 0.6667 0.0163 Mg
0.3333 0.6667 0.5163 Mg
0.0000 0.0000 0.6503 Sc
0.0000 0.0000 0.1503 Sc
0.6667 0.3333 0.9836 Sc
0.6667 0.3333 0.4836 Sc
0.3333 0.6667 0.3169 Sc
0.3333 0.6667 0.8169 Sc
0.2968 0.0017 0.2513 P
0.7048 0.7032 0.2513 P
0.9983 0.2952 0.2513 P
0.2968 0.2952 0.7513 P
0.9983 0.7032 0.7513 P
0.7048 0.0017 0.7513 P
0.9635 0.3350 0.5846 P
0.3715 0.0365 0.5846 P
0.6650 0.6285 0.5846 P
0.9635 0.6285 0.0846 P
0.6650 0.0365 0.0846 P
0.3715 0.3350 0.0846 P
0.6302 0.6683 0.9179 P
0.0382 0.3698 0.9179 P
0.3317 0.9618 0.9179 P
0.6302 0.9618 0.4179 P
0.3317 0.3698 0.4179 P
0.0382 0.6683 0.4179 P
0.2124 0.0269 0.3071 O
0.8145 0.7876 0.3071 O
0.9731 0.1855 0.3071 O
0.2124 0.1855 0.8071 O
0.9731 0.7876 0.8071 O
0.8145 0.0269 0.8071 O
0.7873 0.9722 0.6943 O
0.1848 0.2127 0.6943 O
0.0278 0.8152 0.6943 O
0.7873 0.8152 0.1943 O
0.0278 0.2127 0.1943 O
0.1848 0.9722 0.1943 O
0.8791 0.3602 0.6404 O
0.4812 0.1209 0.6404 O
0.6398 0.5188 0.6404 O
0.8791 0.5188 0.1404 O
0.6398 0.1209 0.1404 O
0.4812 0.3602 0.1404 O
0.4540 0.3055 0.0276 O
0.8515 0.5460 0.0276 O
0.6945 0.1485 0.0276 O
0.4540 0.1485 0.5276 O
0.6945 0.5460 0.5276 O
0.8515 0.3055 0.5276 O
0.5457 0.6936 0.9738 O
0.1478 0.4543 0.9738 O
0.3064 0.8522 0.9738 O
0.5457 0.8522 0.4738 O
0.3064 0.4543 0.4738 O
0.1478 0.6936 0.4738 O
0.1207 0.6388 0.3609 O
0.5182 0.8793 0.3609 O
0.3612 0.4818 0.3609 O
0.1207 0.4818 0.8609 O
0.3612 0.8793 0.8609 O
0.5182 0.6388 0.8609 O
0.0171 0.8277 0.4119 O
0.8107 0.9829 0.4119 O
0.1723 0.1893 0.4119 O
0.0171 0.1893 0.9119 O
0.1723 0.9829 0.9119 O
0.8107 0.8277 0.9119 O
0.9803 0.1712 0.5880 O
0.1910 0.0197 0.5880 O
0.8288 0.8090 0.5880 O
0.9803 0.8090 0.0880 O
0.8288 0.0197 0.0880 O
0.1910 0.1712 0.0880 O
0.6837 0.1611 0.7452 O
0.4773 0.3163 0.7452 O
0.8389 0.5227 0.7452 O
0.6837 0.5227 0.2452 O
0.8389 0.3163 0.2452 O
0.4773 0.1611 0.2452 O
0.6469 0.5046 0.9213 O
0.8576 0.3531 0.9213 O
0.4954 0.1424 0.9213 O
0.6469 0.1424 0.4213 O
0.4954 0.3531 0.4213 O
0.8576 0.5046 0.4213 O
0.3504 0.4944 0.0785 O
0.1440 0.6496 0.0785 O
0.5056 0.8560 0.0785 O
0.3504 0.8560 0.5785 O
0.5056 0.6496 0.5785 O
0.1440 0.4944 0.5785 O
0.3136 0.8379 0.2546 O
0.5243 0.6864 0.2546 O
0.1621 0.4757 0.2546 O
0.3136 0.4757 0.7546 O
0.1621 0.6864 0.7546 O
0.5243 0.8379 0.7546 O
```